No. 1
# RbHf2Br9

A relaxed RbHf2Br9 crystal (PBE, Materials Project). Values from VASP.

Calculated values
The energy of formation is -184.2 kJ/mol of atoms. The calculation puts the energy at -4.478 eV/atom.

The structure in Quantum ESPRESSO input format:
```
&SYSTEM
  ibrav = 0, nat = 24, ntyp = 3
/
ATOMIC_SPECIES
Rb 85.47 Rb.upf
Hf 178.49 Hf.upf
Br 79.90 Br.upf
CELL_PARAMETERS angstrom
10.318 0.000 0.000
0.000 7.034 0.000
-5.411 0.000 12.230
ATOMIC_POSITIONS angstrom
Rb -1.353 0.636 3.058
Rb -4.058 6.397 9.173
Hf -0.086 1.695 7.746
Hf 2.619 5.339 1.630
Hf 2.289 1.695 10.600
Hf 4.994 5.339 4.485
Br -2.374 2.724 8.032
Br 0.331 4.310 1.917
Br 1.801 0.521 0.717
Br -0.905 6.513 6.832
Br 0.527 2.754 5.565
Br -2.179 4.280 11.680
Br -0.246 0.656 10.306
Br 2.460 6.377 4.191
Br 3.807 3.324 3.058
Br 1.101 3.710 9.173
Br 2.448 0.656 8.039
Br 5.153 6.377 1.924
Br 7.086 2.754 0.550
Br 4.381 4.280 6.666
Br 5.813 0.521 5.399
Br 3.107 6.513 11.514
Br 4.577 2.724 10.314
Br 7.282 4.310 4.198
```


No. 2
# HfSi2Br

A relaxed HfSi2Br crystal (PBE, Materials Project). Values from VASP.

Calculated values
The energy of formation is 44.3 kJ/mol of atoms. The calculation puts the energy at -5.018 eV/atom.

The structure in Quantum ESPRESSO input format:
```
&SYSTEM
  ibrav = 0, nat = 4, ntyp = 3
/
ATOMIC_SPECIES
Hf 178.49 Hf.upf
Si 28.09 Si.upf
Br 79.90 Br.upf
CELL_PARAMETERS angstrom
0.000 3.390 3.390
3.390 0.000 3.390
3.390 3.390 0.000
ATOMIC_POSITIONS angstrom
Hf 0.000 0.000 0.000
Si 1.695 1.695 1.695
Si 5.086 5.086 5.086
Br 3.390 3.390 3.390
```


No. 3
# HgBr2

A relaxed HgBr2 crystal (PBE, Materials Project). Values from VASP.

Calculated values
The energy of formation is -76.0 kJ/mol of atoms. The calculation puts the energy at -1.624 eV/atom. For the largest piezoelectric modulus, the calculation gives 0.0 C/m2.

The structure in Quantum ESPRESSO input format:
```
&SYSTEM
  ibrav = 0, nat = 9, ntyp = 2
/
ATOMIC_SPECIES
Hg 200.59 Hg.upf
Br 79.90 Br.upf
CELL_PARAMETERS angstrom
7.184 0.000 0.000
-3.592 6.221 0.000
0.000 0.000 6.827
ATOMIC_POSITIONS angstrom
Hg 0.000 0.000 0.000
Hg 0.000 4.148 0.142
Hg 3.592 2.074 0.395
Br -2.395 4.213 1.764
Br 1.141 2.041 1.764
Br 2.449 0.048 5.422
Br 2.409 4.076 5.422
Br 1.254 6.189 1.764
Br 5.917 2.097 5.422
```


No. 4
# HgBr2

A relaxed HgBr2 crystal (PBE, Materials Project). Values from VASP.

Calculated values
The energy of formation is -80.2 kJ/mol of atoms. The calculation puts the energy at -1.667 eV/atom. For the largest piezoelectric modulus, the calculation gives 0.0 C/m2.

The structure in Quantum ESPRESSO input format:
```
&SYSTEM
  ibrav = 0, nat = 6, ntyp = 2
/
ATOMIC_SPECIES
Hg 200.59 Hg.upf
Br 79.90 Br.upf
CELL_PARAMETERS angstrom
2.513 -3.500 0.000
2.513 3.500 0.000
0.000 0.000 13.088
ATOMIC_POSITIONS angstrom
Hg 2.513 2.335 6.544
Hg 2.513 -2.335 0.000
Br 2.513 2.801 1.643
Br 2.513 0.473 4.896
Br 2.513 -0.473 11.440
Br 2.513 -2.801 8.187
```


No. 5
# HgBr3

A relaxed HgBr3 crystal (PBE, Materials Project). Values from VASP.

Calculated values
The energy of formation is -45.4 kJ/mol of atoms. The calculation puts the energy at -1.374 eV/atom.

The structure in Quantum ESPRESSO input format:
```
&SYSTEM
  ibrav = 0, nat = 8, ntyp = 2
/
ATOMIC_SPECIES
Hg 200.59 Hg.upf
Br 79.90 Br.upf
CELL_PARAMETERS angstrom
8.945 0.000 0.000
-4.473 7.747 0.000
0.000 0.000 3.843
ATOMIC_POSITIONS angstrom
Hg 0.000 5.165 0.961
Hg 4.473 2.582 2.882
Br 0.000 3.047 2.882
Br -1.834 6.223 2.882
Br 2.639 1.524 0.961
Br 1.834 6.223 2.882
Br 6.306 1.524 0.961
Br 4.473 4.700 0.961
```


No. 6
# Hg2I3Br

A relaxed Hg2I3Br crystal (PBE, Materials Project). Values from VASP.

Calculated values
The energy of formation is -41.1 kJ/mol of atoms. The calculation puts the energy at -1.473 eV/atom.

The structure in Quantum ESPRESSO input format:
```
&SYSTEM
  ibrav = 0, nat = 6, ntyp = 3
/
ATOMIC_SPECIES
Hg 200.59 Hg.upf
I 126.90 I.upf
Br 79.90 Br.upf
CELL_PARAMETERS angstrom
3.755 -2.601 0.000
3.755 2.601 0.000
-0.371 0.000 14.066
ATOMIC_POSITIONS angstrom
Hg 0.000 0.000 0.000
Hg 4.890 0.000 6.989
I 1.586 0.000 12.245
I 5.567 0.000 1.825
I 6.769 0.000 8.849
Br 3.097 0.000 5.262
```


No. 7
# Hg2IBr3

A relaxed Hg2IBr3 crystal (PBE, Materials Project). Values from VASP.

Calculated values
The energy of formation is -66.9 kJ/mol of atoms. The calculation puts the energy at -1.600 eV/atom.

The structure in Quantum ESPRESSO input format:
```
&SYSTEM
  ibrav = 0, nat = 6, ntyp = 3
/
ATOMIC_SPECIES
Hg 200.59 Hg.upf
I 126.90 I.upf
Br 79.90 Br.upf
CELL_PARAMETERS angstrom
3.611 -2.578 0.000
3.611 2.578 0.000
-0.338 0.000 13.466
ATOMIC_POSITIONS angstrom
Hg 0.000 0.000 0.000
Hg 4.709 0.000 6.685
I 2.751 0.000 8.459
Br 1.805 0.000 1.668
Br 5.089 0.000 11.777
Br 6.560 0.000 5.020
```


No. 8
# Hg3Te2IBr

A relaxed Hg3Te2IBr crystal (PBE, Materials Project). Values from VASP.

Calculated values
The energy of formation is -34.8 kJ/mol of atoms. The calculation puts the energy at -1.764 eV/atom.

The structure in Quantum ESPRESSO input format:
```
&SYSTEM
  ibrav = 0, nat = 28, ntyp = 4
/
ATOMIC_SPECIES
Hg 200.59 Hg.upf
Te 127.60 Te.upf
I 126.90 I.upf
Br 79.90 Br.upf
CELL_PARAMETERS angstrom
9.510 -4.947 0.000
9.510 4.947 0.000
-0.004 0.000 10.808
ATOMIC_POSITIONS angstrom
Hg 0.000 0.000 0.000
Hg 2.359 0.411 7.543
Hg 9.122 2.480 7.817
Hg 4.669 -0.125 0.012
Hg 9.893 2.480 2.991
Hg 7.122 -0.302 3.167
Hg 5.151 -2.426 7.659
Hg 9.510 -0.387 0.000
Hg 11.893 -0.302 7.641
Hg 14.346 -0.125 10.795
Hg 16.656 0.411 3.265
Hg 13.865 -2.426 3.149
Te 5.057 0.267 8.133
Te 4.409 -0.184 2.747
Te 9.182 -0.246 8.084
Te 9.833 -0.246 2.724
Te 13.958 0.267 2.675
Te 14.606 -0.184 8.061
Te 9.166 -4.689 8.100
Te 9.850 -4.689 2.708
I 7.191 2.533 0.249
I 7.161 2.490 5.131
I 11.824 2.533 10.558
I 11.854 2.490 5.677
Br 7.068 -2.372 0.242
Br 7.128 -2.446 5.305
Br 11.947 -2.372 10.566
Br 11.887 -2.446 5.503
```


Please write out number 1 again, unchanged.
# RbHf2Br9

A relaxed RbHf2Br9 crystal (PBE, Materials Project). Values from VASP.

Calculated values
The energy of formation is -184.2 kJ/mol of atoms. The calculation puts the energy at -4.478 eV/atom.

The structure in Quantum ESPRESSO input format:
```
&SYSTEM
  ibrav = 0, nat = 24, ntyp = 3
/
ATOMIC_SPECIES
Rb 85.47 Rb.upf
Hf 178.49 Hf.upf
Br 79.90 Br.upf
CELL_PARAMETERS angstrom
10.318 0.000 0.000
0.000 7.034 0.000
-5.411 0.000 12.230
ATOMIC_POSITIONS angstrom
Rb -1.353 0.636 3.058
Rb -4.058 6.397 9.173
Hf -0.086 1.695 7.746
Hf 2.619 5.339 1.630
Hf 2.289 1.695 10.600
Hf 4.994 5.339 4.485
Br -2.374 2.724 8.032
Br 0.331 4.310 1.917
Br 1.801 0.521 0.717
Br -0.905 6.513 6.832
Br 0.527 2.754 5.565
Br -2.179 4.280 11.680
Br -0.246 0.656 10.306
Br 2.460 6.377 4.191
Br 3.807 3.324 3.058
Br 1.101 3.710 9.173
Br 2.448 0.656 8.039
Br 5.153 6.377 1.924
Br 7.086 2.754 0.550
Br 4.381 4.280 6.666
Br 5.813 0.521 5.399
Br 3.107 6.513 11.514
Br 4.577 2.724 10.314
Br 7.282 4.310 4.198
```


Q: What is the formula in the third record?
A: HgBr2


Q: energy of formation of number 4 (HgBr2)?
A: -80.2 kJ/mol of atoms